[1]
## Ba2MnCuP4O14 (GGA+U)

Data for a relaxed Ba2MnCuP4O14 crystal.

## Properties
Symmetry ... P1
Calculated volume ... 13.792 Å³ per atom
Energy of formation ... -2776 meV/atom
Total magnetic moment ... 0.000 μB per cell

POSCAR file:
```
Ba2MnCuP4O14
1.0
-0.692 -7.518 -0.216
3.904 1.192 -8.531
9.178 1.288 0.860
Cu O P Ba Mn
2 28 8 4 2
Direct
0.353 0.898 0.703 Cu
0.354 0.398 0.203 Cu
0.608 0.636 0.557 O
0.673 0.346 0.255 O
0.991 0.979 0.761 O
0.286 0.426 0.977 O
0.619 0.874 0.324 O
0.870 0.837 0.570 O
0.388 0.858 0.934 O
0.870 0.337 0.070 O
0.378 0.619 0.170 O
0.122 0.661 0.929 O
0.159 0.822 0.106 O
0.024 0.011 0.242 O
0.285 0.926 0.477 O
0.025 0.511 0.742 O
0.388 0.358 0.434 O
0.991 0.479 0.262 O
0.619 0.374 0.824 O
0.330 0.664 0.750 O
0.159 0.322 0.606 O
0.731 0.081 0.531 O
0.852 0.179 0.896 O
0.852 0.679 0.395 O
0.122 0.161 0.429 O
0.732 0.581 0.031 O
0.378 0.119 0.670 O
0.673 0.846 0.755 O
0.608 0.136 0.057 O
0.330 0.164 0.250 O
0.732 0.754 0.457 P
0.187 0.058 0.346 P
0.266 0.743 0.040 P
0.817 0.943 0.660 P
0.817 0.443 0.160 P
0.187 0.558 0.846 P
0.266 0.243 0.540 P
0.732 0.254 0.957 P
0.222 0.140 0.926 Ba
0.775 0.863 0.068 Ba
0.775 0.363 0.568 Ba
0.222 0.640 0.426 Ba
0.615 0.106 0.298 Mn
0.616 0.606 0.798 Mn
```



[2]
## AcFeO3 (GGA+U)

Data for a relaxed AcFeO3 crystal.

## Properties
Symmetry ... Pm-3m
Calculated volume ... 12.938 Å³ per atom
Energy of formation ... -2772 meV/atom

POSCAR file:
```
AcFeO3
1.0
-0.370 -0.178 -3.993
-0.752 -3.936 0.245
-3.926 0.770 0.329
O Fe Ac
3 1 1
Direct
0.000 0.500 0.500 O
0.500 0.000 0.500 O
0.500 0.500 0.000 O
0.500 0.500 0.500 Fe
0.000 0.000 0.000 Ac
```



[3]
## MgMn4Cu3O12 (GGA+U)

Data for a relaxed MgMn4Cu3O12 crystal.

## Properties
Symmetry ... P1
Calculated volume ... 11.107 Å³ per atom
Energy of formation ... -1470 meV/atom
Excess energy over the best structure of this formula in the dataset ... 140 meV per atom
Total magnetic moment ... 15.003 μB per cell

POSCAR file:
```
MgMn4Cu3O12
1.0
-4.202 3.796 3.146
-2.716 -5.994 -0.215
6.361 -0.326 2.938
Mn O Cu Mg
4 12 3 1
Direct
0.500 0.485 0.495 Mn
0.003 0.485 0.020 Mn
0.012 0.993 0.524 Mn
0.491 0.011 0.035 Mn
0.137 0.805 0.329 O
0.697 0.506 0.817 O
0.325 0.125 0.831 O
0.529 0.805 0.667 O
0.206 0.667 0.857 O
0.809 0.654 0.505 O
0.868 0.176 0.690 O
0.206 0.338 0.528 O
0.293 0.449 0.190 O
0.476 0.163 0.339 O
0.800 0.314 0.169 O
0.680 0.846 0.191 O
0.503 0.988 0.510 Cu
0.470 0.601 0.856 Cu
0.997 0.490 0.509 Cu
0.570 0.471 0.136 Mg
```



[4]
## Ca2TaCrO6 (GGA+U)

Data for a relaxed Ca2TaCrO6 crystal.

## Properties
Calculated volume ... 11.960 Å³ per atom
Energy of formation ... -3211 meV/atom
Total magnetic moment ... 0.000 μB per cell

POSCAR file:
```
Ca2TaCrO6
1.0
-2.123 -2.799 4.169
8.835 -6.910 -0.087
3.717 4.689 5.040
Ca O Cr Ta
8 24 4 4
Direct
0.009 0.481 0.250 Ca
0.009 0.981 0.250 Ca
0.991 0.519 0.750 Ca
0.489 0.218 0.250 Ca
0.511 0.782 0.750 Ca
0.489 0.718 0.250 Ca
0.991 0.019 0.750 Ca
0.511 0.282 0.750 Ca
0.408 0.986 0.750 O
0.799 0.894 0.546 O
0.201 0.106 0.454 O
0.201 0.106 0.046 O
0.088 0.237 0.750 O
0.709 0.649 0.544 O
0.291 0.851 0.044 O
0.291 0.351 0.456 O
0.912 0.763 0.250 O
0.291 0.351 0.044 O
0.709 0.149 0.956 O
0.201 0.606 0.454 O
0.799 0.394 0.954 O
0.088 0.737 0.750 O
0.408 0.485 0.750 O
0.799 0.394 0.546 O
0.201 0.606 0.046 O
0.912 0.263 0.250 O
0.291 0.851 0.456 O
0.592 0.514 0.250 O
0.709 0.149 0.544 O
0.709 0.649 0.956 O
0.799 0.894 0.954 O
0.592 0.015 0.250 O
0.500 0.500 0.500 Cr
0.500 0.000 0.000 Cr
0.500 0.500 0.000 Cr
0.500 0.000 0.500 Cr
0.000 0.750 0.500 Ta
0.000 0.750 0.000 Ta
0.000 0.250 0.000 Ta
0.000 0.250 0.500 Ta
```



[5]
## CrF5 (GGA+U)

Data for a relaxed CrF5 crystal.

## Properties
Symmetry ... Pbcm
Calculated volume ... 14.313 Å³ per atom
Energy of formation ... -2309 meV/atom

POSCAR file:
```
CrF5
1.0
5.613 0.000 0.000
0.000 7.667 0.000
0.000 0.000 7.983
F Cr
20 4
Direct
0.974 0.555 0.193 F
0.750 0.473 0.467 F
0.474 0.445 0.807 F
0.974 0.055 0.807 F
0.526 0.055 0.807 F
0.026 0.445 0.807 F
0.750 0.783 0.920 F
0.250 0.027 0.467 F
0.000 0.250 0.337 F
0.500 0.250 0.337 F
0.526 0.555 0.193 F
0.000 0.750 0.663 F
0.474 0.945 0.193 F
0.026 0.945 0.193 F
0.250 0.217 0.080 F
0.250 0.717 0.920 F
0.750 0.283 0.080 F
0.250 0.527 0.533 F
0.750 0.973 0.533 F
0.500 0.750 0.663 F
0.250 0.087 0.258 Cr
0.750 0.413 0.258 Cr
0.750 0.913 0.742 Cr
0.250 0.587 0.742 Cr
```



[6]
## ZnCoO3 (GGA+U)

Data for a relaxed ZnCoO3 crystal.

## Properties
Symmetry ... Pnma
Calculated volume ... 9.128 Å³ per atom
Energy of formation ... -1210 meV/atom
Total magnetic moment ... 3.993 μB per cell

POSCAR file:
```
ZnCoO3
1.0
4.978 0.000 0.000
0.000 5.033 0.000
0.000 0.000 7.287
Zn Co O
4 4 12
Direct
0.994 0.551 0.750 Zn
0.006 0.449 0.250 Zn
0.494 0.949 0.250 Zn
0.506 0.051 0.750 Zn
0.000 0.000 0.000 Co
0.500 0.500 0.000 Co
0.000 0.000 0.500 Co
0.500 0.500 0.500 Co
0.813 0.312 0.936 O
0.187 0.688 0.436 O
0.813 0.312 0.564 O
0.381 0.443 0.750 O
0.619 0.557 0.250 O
0.187 0.688 0.064 O
0.687 0.812 0.936 O
0.119 0.943 0.750 O
0.313 0.188 0.436 O
0.687 0.812 0.564 O
0.881 0.057 0.250 O
0.313 0.188 0.064 O
```



Number 1: E -315.63 eV for the cell shown. Number 2: E -36.98 eV for the cell shown. Number 3: E -124.40 eV for the cell shown. Number 4: E -324.80 eV for the cell shown. Number 5: E -115.09 eV for the cell shown. Number 6: E -102.26 eV for the cell shown.